No. 1
Entry from the Materials Project database: a relaxed structure of TiH3CO5 (PBE-GGA).

Computed properties:
Energy with MP2020 corrections = -7.180 eV/atom
Total DFT energy (no corrections) = -6.837 eV per atom
V = 827.2 Å³/cell
Energy relative to the elements = -1.976 eV per atom
SG = No. 64

Cell lengths 9.6839, 9.6839, 9.4572 Å; angles 90.00, 90.00, 111.13 degrees
Sites, in units of the cell vectors:
H 0.2901 0.0716 0.2142
H 0.0302 0.8868 0.4289
H 0.6132 0.4698 0.9289
O 0.2551 0.1129 0.0397
C 0.6633 0.6633 0.5147
O 0.6063 0.3937 0.0000
O 0.0000 0.5000 0.5000
O 0.8474 0.9886 0.2179
O 0.0000 0.5000 0.0000
H 0.9698 0.1132 0.5711
H 0.4836 0.7507 0.1337
H 0.8868 0.0302 0.4289
H 0.0164 0.7493 0.6337
O 0.1440 0.6440 0.2500
Ti 0.9596 0.3280 0.9007
O 0.8120 0.1880 0.0000
H 0.7493 0.0164 0.6337
O 0.1526 0.0114 0.7821
O 0.4458 0.1718 0.8065
O 0.3474 0.4886 0.2821
Ti 0.3280 0.9596 0.9007
H 0.4698 0.6132 0.9289
O 0.6440 0.1440 0.2500
O 0.3871 0.2449 0.5397
O 0.1129 0.2551 0.0397
H 0.2507 0.9836 0.3663
O 0.5000 0.0000 0.5000
Ti 0.5404 0.1720 0.4007
Ti 0.4596 0.8280 0.5993
O 0.0542 0.3282 0.3065
O 0.2449 0.3871 0.5397
Ti 0.1720 0.5404 0.4007
O 0.3282 0.0542 0.3065
O 0.8871 0.7449 0.9603
O 0.8937 0.1063 0.5000
H 0.3868 0.5302 0.0711
H 0.2493 0.5164 0.8663
O 0.7449 0.8871 0.9603
O 0.3937 0.6063 0.0000
Ti 0.8280 0.4596 0.5993
O 0.1063 0.8937 0.5000
H 0.5302 0.3868 0.0711
H 0.7099 0.9284 0.7858
O 0.1718 0.4458 0.8065
H 0.7507 0.4836 0.1337
H 0.5164 0.2493 0.8663
C 0.6047 0.6047 0.6629
O 0.6718 0.9458 0.6935
O 0.4886 0.3474 0.2821
O 0.3560 0.8560 0.7500
O 0.7551 0.6129 0.4603
Ti 0.6720 0.0404 0.0993
O 0.1880 0.8120 0.0000
O 0.0114 0.1526 0.7821
O 0.8282 0.5542 0.1935
C 0.8953 0.8953 0.1629
H 0.0716 0.2901 0.2142
H 0.9836 0.2507 0.3663
Ti 0.0404 0.6720 0.0993
H 0.7901 0.5716 0.2858
O 0.8560 0.3560 0.7500
O 0.5114 0.6526 0.7179
O 0.6880 0.3120 0.5000
C 0.3367 0.3367 0.4853
O 0.3120 0.6880 0.5000
H 0.5716 0.7901 0.2858
H 0.1132 0.9698 0.5711
C 0.8367 0.8367 0.0147
H 0.2099 0.4284 0.7142
C 0.1633 0.1633 0.9853
C 0.1047 0.1047 0.8371
O 0.5000 0.0000 0.0000
H 0.9284 0.7099 0.7858
O 0.6129 0.7551 0.4603
H 0.4284 0.2099 0.7142
O 0.9886 0.8474 0.2179
C 0.3953 0.3953 0.3371
O 0.6526 0.5114 0.7179
O 0.5542 0.8282 0.1935
O 0.9458 0.6718 0.6935

***

No. 2
Entry from the Materials Project database: a relaxed structure of Tm2MgNb2O8 (PBE-GGA).

Computed properties:
Energy with MP2020 corrections = -8.653 eV/atom
Total DFT energy (no corrections) = -8.230 eV per atom
V = 194.2 Å³/cell
Energy relative to the elements = -3.242 eV per atom
SG = No. 5

Cell lengths 5.2398, 5.2058, 7.9871 Å; angles 104.90, 105.05, 102.10 degrees
Sites, in units of the cell vectors:
O 0.2247 0.3799 0.8135
O 0.5145 0.2826 0.5552
O 0.3542 0.1149 0.1536
O 0.5888 0.9336 0.8135
Tm 0.8239 0.0739 0.6478
O 0.7994 0.5388 0.1536
O 0.9513 0.2169 0.4212
Mg 0.4812 0.2312 0.9624
O 0.0407 0.7726 0.5552
O 0.4698 0.7043 0.4212
Nb 0.3214 0.5714 0.6427
Tm 0.1546 0.9046 0.3092
Nb 0.6755 0.4255 0.3511

***

No. 3
Entry from the Materials Project database: a relaxed structure of CuF (PBE-GGA).

Computed properties:
Energy with MP2020 corrections = -4.024 eV/atom
Total DFT energy (no corrections) = -3.793 eV per atom
V = 28.5 Å³/cell
Energy relative to the elements = -1.017 eV per atom
SG = No. 216

Cell lengths 3.4271, 3.4271, 3.4271 Å; angles 60.00, 60.00, 60.00 degrees
Sites, in units of the cell vectors:
Cu 0.0000 0.0000 0.0000
F 0.7500 0.7500 0.7500

***

No. 4
Entry from the Materials Project database: a relaxed structure of Ho3TlC (PBE-GGA).

Computed properties:
Total DFT energy (no corrections) = -3.445 eV per atom
V = 173.6 Å³/cell
Energy relative to the elements = 1.623 eV per atom
SG = No. 221

Cell lengths 5.5790, 5.5790, 5.5790 Å; angles 90.00, 90.00, 90.00 degrees
Sites, in units of the cell vectors:
Ho 0.0000 0.5000 0.5000
Ho 0.5000 0.5000 0.0000
Ho 0.5000 0.0000 0.5000
Tl 0.5000 0.5000 0.5000
C 0.0000 0.0000 0.0000

***

No. 5
Entry from the Materials Project database: a relaxed structure of Ca4As2O (PBE-GGA).

Computed properties:
Energy with MP2020 corrections = -4.997 eV/atom
Total DFT energy (no corrections) = -4.899 eV per atom
V = 161.6 Å³/cell
Energy relative to the elements = -1.813 eV per atom
SG = No. 139

Cell lengths 8.3946, 8.3946, 8.3946 Å; angles 148.43, 148.43, 45.24 degrees
Sites, in units of the cell vectors:
Ca 0.5000 0.0000 0.5000
Ca 0.3283 0.3283 0.0000
Ca 0.0000 0.5000 0.5000
As 0.8628 0.8628 0.0000
Ca 0.6717 0.6717 0.0000
As 0.1372 0.1372 0.0000
O 0.5000 0.5000 0.0000

***

No. 6
Entry from the Materials Project database: a relaxed structure of Cs2KTiO2F3 (PBE-GGA).

Computed properties:
Energy with MP2020 corrections = -5.962 eV/atom
Total DFT energy (no corrections) = -5.655 eV per atom
V = 198.8 Å³/cell
Energy relative to the elements = -3.025 eV per atom
SG = No. 42

Cell lengths 6.7599, 6.5040, 6.4249 Å; angles 63.04, 59.05, 57.91 degrees
Sites, in units of the cell vectors:
O 0.0948 0.7521 0.9052
F 0.2268 0.2268 0.7732
F 0.8281 0.2630 0.7370
Cs 0.7657 0.7657 0.7343
Ti 0.0199 0.0199 0.9801
O 0.7521 0.0948 0.2479
K 0.4988 0.4988 0.5012
Cs 0.2657 0.2657 0.2343
F 0.2630 0.8281 0.1719

***

No. 7
Entry from the Materials Project database: a relaxed structure of K24Zr18Se91 (PBE-GGA).

Computed properties:
Energy with MP2020 corrections = -4.820 eV/atom
Total DFT energy (no corrections) = -4.497 eV per atom
V = 5099.5 Å³/cell
Energy relative to the elements = -1.071 eV per atom
SG = No. 1

Cell lengths 18.3501, 18.9499, 17.8623 Å; angles 62.20, 78.17, 68.26 degrees
Sites, in units of the cell vectors:
Se 0.7383 0.9419 0.9109
Se 0.6593 0.7478 0.2600
K 0.2202 0.0928 0.7417
Se 0.1642 0.8410 0.7461
Se 0.4131 0.2274 0.8270
Se 0.3246 0.7957 0.4933
Se 0.9670 0.2857 0.2070
Zr 0.1871 0.8291 0.4421
Se 0.2730 0.7465 0.3442
Se 0.0255 0.5915 0.4328
K 0.2339 0.4363 0.2780
K 0.5113 0.2563 0.0643
Se 0.6495 0.8628 0.2853
Se 0.2597 0.7056 0.6086
Se 0.1752 0.1976 0.2540
Se 0.1298 0.9956 0.6920
Zr 0.5575 0.2196 0.8042
Se 0.0899 0.9355 0.3091
Se 0.5308 0.5961 0.2802
Se 0.8418 0.2883 0.8564
Zr 0.9356 0.1833 0.7828
Se 0.5663 0.1977 0.3709
Se 0.9357 0.7507 0.9202
Se 0.3281 0.5649 0.6259
Se 0.5037 0.0788 0.4980
Se 0.6680 0.8040 0.8725
Se 0.5497 0.7979 0.1644
Se 0.0659 0.3976 0.3502
Se 0.7359 0.3239 0.4514
Se 0.1766 0.1829 0.4401
Se 0.4010 0.9042 0.5603
K 0.7185 0.0245 0.4367
Zr 0.5021 0.8347 0.8567
Se 0.3167 0.3353 0.0198
Se 0.7656 0.7414 0.1608
Se 0.5576 0.7854 0.7342
Zr 0.1393 0.8057 0.2736
Se 0.3360 0.6609 0.8761
Se 0.8716 0.8151 0.4095
Se 0.0621 0.7035 0.2928
Se 0.8670 0.4670 0.9266
Se 0.3449 0.0599 0.1512
K 0.9630 0.6117 0.2336
K 0.0845 0.8198 0.9471
Se 0.3461 0.8874 0.8414
K 0.2434 0.5684 0.4769
Se 0.6402 0.5448 0.9236
Se 0.9569 0.4117 0.2138
K 0.5181 0.0353 0.3320
Se 0.4614 0.9591 0.2304
Se 0.5241 0.9302 0.5680
Zr 0.0818 0.1027 0.5338
K 0.8115 0.9289 0.2130
Se 0.9141 0.6361 0.6662
Se 0.7993 0.2245 0.7081
Se 0.4124 0.8463 0.3288
Se 0.3729 0.2161 0.2568
K 0.8238 0.2214 0.3189
K 0.6272 0.9531 0.0827
Se 0.5808 0.2185 0.4873
Se 0.6617 0.0958 0.1932
Zr 0.9678 0.8864 0.4155
Se 0.5262 0.7040 0.9879
Zr 0.3100 0.8092 0.7739
Zr 0.7191 0.2470 0.8541
Se 0.0716 0.8484 0.1353
Se 0.6194 0.1372 0.7154
K 0.3234 0.0644 0.9726
K 0.3455 0.7143 0.0420
Se 0.5966 0.3532 0.7541
Zr 0.0414 0.2712 0.3315
Se 0.7129 0.1819 0.5096
Se 0.4005 0.6099 0.2623
K 0.6670 0.6575 0.0998
Se 0.4854 0.9802 0.8704
Se 0.6248 0.1447 0.9428
Se 0.9464 0.2325 0.4639
K 0.5346 0.4126 0.2905
Se 0.6694 0.3084 0.9705
Se 0.6179 0.4266 0.4401
Se 0.0350 0.0872 0.4166
K 0.7207 0.7606 0.6276
Se 0.9967 0.3966 0.5612
Se 0.2075 0.8500 0.1223
Se 0.3625 0.4526 0.0696
Zr 0.3018 0.2089 0.1500
Se 0.5143 0.9911 0.7265
Se 0.8210 0.5470 0.5613
Se 0.9271 0.3460 0.7046
Se 0.4083 0.7673 0.6633
Se 0.1913 0.4086 0.4867
Se 0.3782 0.8498 0.1003
Se 0.0845 0.7477 0.5030
Zr 0.4196 0.7528 0.2470
Se 0.1639 0.2145 0.1131
Se 0.4105 0.3533 0.1984
Se 0.0045 0.6228 0.9030
Se 0.9206 0.0565 0.1571
Se 0.0518 0.0358 0.8476
Se 0.6061 0.6293 0.7824
Se 0.8285 0.8214 0.6993
Se 0.2673 0.2634 0.5523
Se 0.1542 0.9687 0.4718
Se 0.1841 0.6000 0.0088
K 0.7787 0.4863 0.7634
Zr 0.7972 0.8313 0.8492
Se 0.0521 0.1821 0.6366
Zr 0.9452 0.5690 0.8252
Se 0.6661 0.3087 0.1973
Se 0.8684 0.2054 0.1023
Zr 0.6322 0.9799 0.8086
Se 0.8862 0.0346 0.3033
Se 0.7493 0.5720 0.9427
Se 0.9814 0.0981 0.9421
Se 0.8221 0.1052 0.8422
K 0.4649 0.5594 0.7433
Se 0.7583 0.6928 0.4700
K 0.8573 0.4200 0.4627
K 0.0660 0.4574 0.6570
K 0.1209 0.4221 0.0704
Se 0.8986 0.9610 0.5042
K 0.0183 0.8324 0.6608
K 0.0085 0.2605 0.9673
Se 0.0651 0.4499 0.8519
Zr 0.9011 0.6562 0.5106
Se 0.1670 0.1986 0.8607
Se 0.1342 0.6274 0.1253
Se 0.2173 0.3076 0.7639
Zr 0.1141 0.3020 0.5056
K 0.3002 0.4139 0.8156
Zr 0.7186 0.2166 0.1226
Se 0.3352 0.2499 0.7038
Se 0.7656 0.9601 0.6949

***

No. 8
Entry from the Materials Project database: a relaxed structure of Li4ZnH12N6 (PBE-GGA).

Computed properties:
Energy with MP2020 corrections = -4.872 eV/atom
Total DFT energy (no corrections) = -4.778 eV per atom
V = 439.9 Å³/cell
Energy relative to the elements = -0.541 eV per atom
SG = No. 20

Cell lengths 5.2350, 8.3819, 10.5524 Å; angles 90.00, 90.00, 108.20 degrees
Sites, in units of the cell vectors:
H 0.2152 0.1585 0.1628
N 0.5163 0.5095 0.3395
H 0.1226 0.4408 0.1466
H 0.5818 0.7634 0.5486
H 0.8774 0.5592 0.6466
H 0.8433 0.2391 0.9388
Li 0.4972 0.0000 0.5000
N 0.8045 0.1615 0.8611
H 0.1567 0.7609 0.4388
H 0.1816 0.7634 0.9514
H 0.0704 0.9102 0.3742
H 0.8398 0.9102 0.1258
H 0.8184 0.2366 0.4514
H 0.9312 0.5262 0.0709
N 0.1955 0.8385 0.3611
H 0.9433 0.1585 0.3372
H 0.0688 0.4738 0.5709
H 0.3182 0.4408 0.3534
N 0.6430 0.8385 0.1389
N 0.4064 0.1714 0.1317
H 0.4050 0.4738 0.9291
H 0.3959 0.2391 0.5612
H 0.5950 0.5262 0.4291
Li 0.6590 0.3181 0.7500
N 0.0068 0.4905 0.6605
N 0.4837 0.4905 0.8395
Li 0.5028 0.0000 0.0000
H 0.4182 0.2366 0.0486
Zn 0.6702 0.3405 0.2500
H 0.1602 0.0898 0.6258
N 0.3570 0.1615 0.6389
H 0.0567 0.8415 0.8372
H 0.6818 0.5592 0.8534
Zn 0.3298 0.6595 0.7500
Li 0.1568 0.3137 0.7500
H 0.6041 0.7609 0.0612
Li 0.3410 0.6819 0.2500
Li 0.4968 0.9936 0.2500
N 0.2349 0.8286 0.8683
N 0.5936 0.8286 0.6317
N 0.9932 0.5095 0.1605
H 0.7848 0.8415 0.6628
N 0.7651 0.1714 0.3683
Li 0.5032 0.0064 0.7500
Li 0.8432 0.6863 0.2500
H 0.9296 0.0898 0.8742

***

No. 9
Entry from the Materials Project database: a relaxed structure of LiCuPO4 (PBE-GGA).

Computed properties:
Energy with MP2020 corrections = -6.628 eV/atom
Total DFT energy (no corrections) = -6.236 eV per atom
E above lowest polymorph = 27.5 meV per atom
V = 335.1 Å³/cell
Energy relative to the elements = -2.169 eV per atom
SG = No. 33

Cell lengths 4.8614, 7.6598, 8.9980 Å; angles 90.00, 90.00, 90.00 degrees
Sites, in units of the cell vectors:
Li 0.9624 0.0414 0.6302
Cu 0.4654 0.8347 0.9576
O 0.2485 0.7509 0.6511
Cu 0.4654 0.3347 0.5424
O 0.7048 0.3645 0.9605
O 0.6654 0.5536 0.5678
P 0.0583 0.7713 0.1454
O 0.1871 0.2745 0.1964
O 0.6654 0.0536 0.9322
O 0.1871 0.7745 0.3036
O 0.6871 0.2255 0.6964
O 0.7485 0.2491 0.3489
Cu 0.9654 0.6653 0.4576
O 0.1654 0.4464 0.4322
Li 0.4624 0.4586 0.1302
O 0.1654 0.9464 0.0678
P 0.5583 0.2287 0.8546
P 0.5583 0.7287 0.6454
P 0.0583 0.2713 0.3546
Li 0.4624 0.9586 0.3698
O 0.6871 0.7255 0.8036
O 0.2048 0.1355 0.4605
O 0.2485 0.2509 0.8489
O 0.7485 0.7491 0.1511
O 0.2048 0.6355 0.0395
Li 0.9624 0.5414 0.8698
O 0.7048 0.8645 0.5395
Cu 0.9654 0.1653 0.0424

***

No. 10
Entry from the Materials Project database: a relaxed structure of CaSe2O7 (PBE-GGA).

Computed properties:
Energy with MP2020 corrections = -5.811 eV/atom
Total DFT energy (no corrections) = -5.330 eV per atom
V = 360.3 Å³/cell
Energy relative to the elements = -1.448 eV per atom
SG = No. 2

Cell lengths 7.2450, 7.2689, 7.2929 Å; angles 80.86, 71.98, 85.07 degrees
Sites, in units of the cell vectors:
Se 0.3449 0.6296 0.7408
O 0.7389 0.8057 0.7074
O 0.5837 0.5384 0.7097
O 0.7347 0.5223 0.3677
O 0.6165 0.1672 0.4138
O 0.0097 0.7104 0.9125
Ca 0.2706 0.1524 0.6189
O 0.6800 0.9040 0.0718
O 0.4163 0.4616 0.2903
O 0.9903 0.2896 0.0875
Se 0.6551 0.3704 0.2592
Ca 0.7294 0.8476 0.3811
Se 0.1534 0.1278 0.1370
O 0.0537 0.9286 0.2594
O 0.2611 0.1943 0.2926
Se 0.8466 0.8722 0.8630
O 0.9463 0.0714 0.7406
O 0.3835 0.8328 0.5862
O 0.2653 0.4777 0.6323
O 0.3200 0.0960 0.9282

***

No. 11
Entry from the Materials Project database: a relaxed structure of CaPr2S4 (PBE-GGA).

Computed properties:
Energy with MP2020 corrections = -6.373 eV/atom
Total DFT energy (no corrections) = -6.085 eV per atom
Largest piezoelectric modulus = 0.35 C/m²
V = 321.4 Å³/cell
Energy relative to the elements = -2.356 eV per atom
SG = No. 122

Cell lengths 7.4741, 7.4741, 7.4741 Å; angles 109.64, 109.64, 109.14 degrees
Sites, in units of the cell vectors:
Ca 0.7500 0.2500 0.5000
Pr 0.3750 0.7543 0.8793
S 0.6228 0.5180 0.7480
S 0.1251 0.3772 0.8952
Pr 0.8750 0.4957 0.1207
Pr 0.2457 0.1250 0.6207
S 0.7700 0.8749 0.2520
S 0.9800 0.7320 0.6048
Ca 0.0000 0.0000 0.0000
S 0.4820 0.2300 0.1048
S 0.2680 0.8728 0.2480
S 0.6249 0.0200 0.7520
Pr 0.5043 0.6250 0.3793
S 0.1272 0.3751 0.3952